## CsSnF3 (PBE-GGA)

Data for a geometry-optimized CsSnF3 structure.

```
5
Lattice="-1.0214 1.5106 4.4102 4.5540 -1.2426 1.3719 1.2866 4.6328 -1.5127" Properties=species:S:1:pos:R:3 pbc="T T T"
Cs 1.2701 4.5721 -1.4627
Sn 2.3822 2.3970 2.1719
F 2.1059 3.2589 4.1645
F 3.0372 4.3313 1.6183
F 4.4167 2.0599 2.7457
```

Maximum piezoelectric response (C/m²): 1.69

---

## Cs2TaTlF6 (PBE-GGA)

Data for a geometry-optimized Cs2TaTlF6 structure.

```
10
Lattice="6.4383 -1.3676 1.9564 3.6505 4.7493 3.3566 1.4569 -0.8595 6.6549" Properties=species:S:1:pos:R:3 pbc="T T T"
Cs 8.6592 1.8916 8.9759
Cs 2.8864 0.6305 2.9920
Ta 0.0000 0.0000 0.0000
Tl 5.7728 1.2611 5.9840
F 6.1547 -0.2474 3.6726
F 3.2960 0.0441 6.3690
F 5.3909 2.7696 8.2953
F 4.5549 3.2629 4.4762
F 6.9908 -0.7407 7.4917
F 8.2496 2.4781 5.5989
```

---

## CsTbF5 (PBE-GGA)

Data for a geometry-optimized CsTbF5 structure.

```
28
Lattice="4.2573 -7.3456 0.0000 4.2573 7.3456 0.0000 0.0000 0.0000 8.5189" Properties=species:S:1:pos:R:3 pbc="T T T"
Cs 4.2573 -2.9928 4.2595
Cs 4.2573 4.3527 0.0000
Cs 4.2573 2.9928 4.2595
Cs 4.2573 -4.3527 0.0000
Tb 2.8948 0.0000 7.1582
Tb 5.6197 0.0000 1.3607
Tb 1.3624 0.0000 2.8987
Tb 7.1521 0.0000 5.6202
F 2.4832 0.0000 4.8862
F 6.0313 0.0000 3.6327
F 1.7741 0.0000 0.6268
F 6.7404 0.0000 7.8921
F 0.6222 0.0000 6.7451
F 7.8923 0.0000 1.7738
F 3.6351 0.0000 2.4856
F 4.8794 0.0000 6.0333
F 4.2573 -1.3617 0.0000
F 4.2573 5.9839 4.2595
F 4.2573 1.3617 0.0000
F 4.2573 -5.9839 4.2595
F 2.5035 -2.1812 6.7973
F 6.0110 -2.1812 1.7216
F 1.7537 -2.1812 2.5378
F 6.7608 -2.1812 5.9811
F 6.0110 2.1812 1.7216
F 2.5035 2.1812 6.7973
F 6.7608 2.1812 5.9811
F 1.7537 2.1812 2.5378
```

---

## Cs2TcF6 (PBE-GGA)

Data for a geometry-optimized Cs2TcF6 structure.

```
9
Lattice="3.1806 -5.5090 0.0000 3.1806 5.5090 0.0000 0.0000 0.0000 5.1575" Properties=species:S:1:pos:R:3 pbc="T T T"
Cs 3.1806 -1.8363 3.6176
Cs 3.1806 1.8363 1.5399
Tc 0.0000 0.0000 0.0000
F 3.1806 3.8628 4.0651
F 4.9356 0.8231 4.0651
F 1.4256 0.8231 4.0651
F 3.1806 -3.8628 1.0924
F 1.4256 -0.8231 1.0924
F 4.9356 -0.8231 1.0924
```

---

## CsTeF5 (PBE-GGA)

Data for a geometry-optimized CsTeF5 structure.

```
28
Lattice="6.7479 0.0000 0.0000 0.0000 8.5303 0.0000 0.0000 0.0000 10.4769" Properties=species:S:1:pos:R:3 pbc="T T T"
Cs 1.6870 5.4199 1.7475
Cs 5.0609 3.1103 8.7295
Cs 5.0609 1.1548 3.4910
Cs 1.6870 7.3755 6.9859
Te 1.6870 1.1797 0.7473
Te 5.0609 7.3505 9.7296
Te 5.0609 5.4448 4.4911
Te 1.6870 3.0854 5.9858
F 0.2977 8.4018 1.4256
F 3.6717 0.1284 9.0513
F 6.4502 4.1367 3.8128
F 3.0763 4.3935 6.6641
F 6.4502 0.1284 9.0513
F 3.0763 8.4018 1.4256
F 0.2977 4.3935 6.6641
F 3.6717 4.1367 3.8128
F 0.2732 2.6094 0.7007
F 3.6472 5.9209 9.7762
F 6.4747 6.8745 4.5378
F 3.1007 1.6557 5.9392
F 6.4747 5.9209 9.7762
F 3.1007 2.6094 0.7007
F 0.2732 1.6557 5.9392
F 3.6472 6.8745 4.5378
F 1.6870 1.6639 2.6070
F 5.0609 6.8663 7.8699
F 5.0609 5.9291 2.6314
F 1.6870 2.6012 7.8455
```

---

## CsTh3F13 (PBE-GGA)

Data for a geometry-optimized CsTh3F13 structure.

```
34
Lattice="0.0000 -7.6647 0.0000 -8.2678 0.0000 0.0000 0.0000 0.0000 -8.7045" Properties=species:S:1:pos:R:3 pbc="T T T"
Cs 0.0000 -4.6500 -6.1595
Cs 0.0000 -3.0147 -1.8073
Th -4.1339 -2.9898 -7.9505
Th -4.1339 -4.6749 -3.5982
Th -6.2021 -0.8010 -5.0165
Th -2.0657 -0.8010 -5.0165
Th -2.0657 -6.8637 -0.6643
Th -6.2021 -6.8637 -0.6643
F 0.0000 -7.2511 -4.9121
F 0.0000 -0.4136 -0.5599
F -4.1339 -1.0415 -6.3866
F -4.1339 -6.6232 -2.0343
F -6.1987 -2.4557 -6.6971
F -2.0691 -2.4557 -6.6971
F -2.0691 -5.2090 -2.3449
F -6.1987 -5.2090 -2.3449
F -6.5966 -0.3494 -2.7349
F -1.6712 -0.3494 -2.7349
F -1.6712 -7.3153 -7.0872
F -6.5966 -7.3153 -7.0872
F -4.1339 -0.8246 -3.9372
F -4.1339 -6.8401 -8.2894
F 0.0000 -2.0481 -4.7708
F 0.0000 -5.6166 -0.4186
F -5.5177 -6.2360 -4.7409
F -2.7501 -6.2360 -4.7409
F -2.7501 -1.4286 -0.3887
F -5.5177 -1.4286 -0.3887
F -2.5434 -4.6894 -8.3411
F -5.7244 -4.6894 -8.3411
F -5.7244 -2.9752 -3.9888
F -2.5434 -2.9752 -3.9888
F -4.1339 -3.5678 -1.5524
F -4.1339 -4.0969 -5.9047
```

---

## CsTlF3 (PBE-GGA)

Data for a geometry-optimized CsTlF3 structure.

```
5
Lattice="3.3790 -3.3838 0.0000 3.3790 3.3838 0.0000 -0.0095 0.0000 4.7820" Properties=species:S:1:pos:R:3 pbc="T T T"
Cs 0.3640 0.0000 0.2579
Tl 3.6929 0.0000 2.6168
F 1.9874 1.6806 2.5975
F 3.6704 0.0000 0.2224
F 1.9874 -1.6806 2.5975
```

---

## CsTlF3 (PBE-GGA)

Data for a geometry-optimized CsTlF3 structure.

```
5
Lattice="3.3867 -3.3869 0.0032 3.3867 3.3869 0.0032 -0.0050 0.0000 4.7897" Properties=species:S:1:pos:R:3 pbc="T T T"
Cs 0.3197 0.0000 0.2265
Tl 3.7015 0.0000 2.6229
F 2.0069 1.6922 2.6195
F 3.7015 0.0000 0.2280
F 2.0069 -1.6922 2.6195
```

---

## CsTlF3 (PBE-GGA)

Data for a geometry-optimized CsTlF3 structure.

```
10
Lattice="0.0000 4.8797 4.8797 4.8797 0.0000 4.8797 4.8797 4.8797 0.0000" Properties=species:S:1:pos:R:3 pbc="T T T"
Cs 7.3196 7.3196 7.3196
Cs 2.4399 2.4399 2.4399
Tl 4.8797 4.8797 4.8797
Tl 0.0000 0.0000 0.0000
F 2.2121 4.8797 4.8797
F 4.8797 4.8797 2.2121
F 7.5474 4.8797 4.8797
F 4.8797 2.2121 4.8797
F 4.8797 7.5474 4.8797
F 4.8797 4.8797 7.5474
```

---

## CsTlF3 (PBE-GGA)

Data for a geometry-optimized CsTlF3 structure.

```
5
Lattice="0.7926 4.4352 -1.6452 -3.5866 1.6399 2.7299 3.0870 0.7791 3.5877" Properties=species:S:1:pos:R:3 pbc="T T T"
Cs -2.0244 2.0414 4.5051
Tl -1.3846 3.0455 0.5299
F -3.1760 3.8814 1.8898
F 0.1275 3.4150 2.3552
F -1.7685 0.8210 1.3434
```

---

## CsTlF3 (PBE-GGA)

Data for a geometry-optimized CsTlF3 structure.

```
10
Lattice="3.9073 0.0000 0.0000 0.0000 5.5257 0.0000 0.0000 0.0000 9.5708" Properties=species:S:1:pos:R:3 pbc="T T T"
Cs 0.0000 0.2980 0.0000
Cs 0.0000 3.0609 4.7854
Tl 1.9536 3.0237 0.0000
Tl 1.9536 0.2609 4.7854
F 1.9536 1.6292 7.1940
F 1.9536 1.6292 2.3768
F 0.0000 3.0015 0.0000
F 1.9536 4.3921 2.4086
F 1.9536 4.3921 7.1622
F 0.0000 0.2386 4.7854
```

---

## Cs3UF6 (PBE-GGA)

Data for a geometry-optimized Cs3UF6 structure.

```
10
Lattice="2.5675 -2.7047 6.3765 -4.7427 4.4962 3.4436 -2.6303 -4.7213 -5.0357" Properties=species:S:1:pos:R:3 pbc="T T T"
Cs -0.5752 -3.2651 3.1254
Cs -4.2303 0.3353 1.6590
Cs -1.0876 0.8957 4.9101
U 0.0000 0.0000 0.0000
F -2.1768 -0.0665 -0.4701
F -5.1962 -0.1586 -1.1221
F -0.0185 -2.1925 0.3959
F -0.0443 -5.2335 0.9449
F -0.4944 0.4071 2.2319
F -1.6809 1.3843 7.5882
```

---

| no. | E_form (eV/atom) |
| --- | --- |
| 1 | -2.755 |
| 2 | -2.737 |
| 3 | -3.428 |
| 4 | -2.856 |
| 5 | -2.749 |
| 6 | -4.347 |
| 7 | -2.450 |
| 8 | -2.452 |
| 9 | -2.515 |
| 10 | -2.451 |
| 11 | -1.637 |
| 12 | -3.206 |